--- a ---
## Ba7Al6Te16 (PBE)

Data for a relaxed Ba7Al6Te16 crystal.

Cell lengths 7.0617, 7.2715, 46.2540 Å; angles 91.25, 93.85, 108.71 degrees
Atoms (fractional coordinates):
Ba 0.0000 0.0000 0.0000
Ba 0.0002 0.0474 0.6036
Ba 0.0036 0.9839 0.3630
Ba 0.0396 0.0722 0.8535
Ba 0.0544 0.0861 0.1054
Ba 0.0898 0.9848 0.4734
Ba 0.0936 0.9637 0.7252
Ba 0.4670 0.4012 0.2464
Ba 0.4860 0.4919 0.3568
Ba 0.5147 0.5456 0.7289
Ba 0.5168 0.5569 0.4782
Ba 0.5653 0.4367 0.9986
Ba 0.5844 0.4600 0.5993
Ba 0.6238 0.4818 0.8511
Al 0.1641 0.6124 0.9558
Al 0.2506 0.7092 0.6617
Al 0.2523 0.8043 0.2984
Al 0.2761 0.7658 0.5500
Al 0.2938 0.7576 0.8002
Al 0.3607 0.7887 0.0595
Al 0.7486 0.2024 0.9272
Al 0.7545 0.2178 0.5346
Al 0.7724 0.2201 0.7871
Al 0.7756 0.1359 0.1962
Al 0.7850 0.2624 0.6755
Al 0.7852 0.2766 0.4222
Te 0.0216 0.5433 0.3323
Te 0.0629 0.5526 0.5050
Te 0.0715 0.5386 0.7558
Te 0.1121 0.5509 0.0120
Te 0.1212 0.5894 0.5990
Te 0.1493 0.5968 0.8491
Te 0.1560 0.2130 0.1805
Te 0.1559 0.2640 0.9346
Te 0.1628 0.2749 0.6711
Te 0.1681 0.6298 0.1024
Te 0.1694 0.3126 0.4200
Te 0.2142 0.1409 0.2996
Te 0.2753 0.1303 0.5445
Te 0.3079 0.1314 0.7954
Te 0.3794 0.1523 0.0542
Te 0.4158 0.9508 0.1676
Te 0.5059 0.9520 0.9667
Te 0.5488 0.9136 0.2332
Te 0.5565 0.0585 0.3786
Te 0.5586 0.0388 0.6321
Te 0.5813 0.0375 0.8785
Te 0.6217 0.8053 0.2959
Te 0.6265 0.0989 0.4718
Te 0.6327 0.0899 0.7248
Te 0.6542 0.7809 0.5461
Te 0.6793 0.7823 0.7965
Te 0.7182 0.7685 0.0547
Te 0.7844 0.6273 0.6698
Te 0.7972 0.6445 0.4193
Te 0.8009 0.5953 0.9329
Te 0.9174 0.5140 0.1994
Te 0.9903 0.5124 0.2643

Its space-group type is P1. The value obtained for the calculated volume is 38.7 A^3/atom.



--- b ---
## Ba7Al6Te16 (PBE)

Data for a relaxed Ba7Al6Te16 crystal.

Cell lengths 7.0163, 7.0371, 45.9433 Å; angles 89.47, 89.49, 68.38 degrees
Atoms (fractional coordinates):
Ba 0.0000 0.0000 0.0000
Ba 0.0001 0.0005 0.8749
Ba 0.0138 0.0068 0.6226
Ba 0.0321 0.0350 0.7412
Ba 0.4626 0.4648 0.7417
Ba 0.4953 0.4897 0.6228
Ba 0.4949 0.4947 0.8753
Ba 0.4956 0.4955 0.9995
Ba 0.5077 0.5026 0.1249
Ba 0.5128 0.5063 0.3744
Ba 0.5245 0.5287 0.2605
Ba 0.9604 0.9612 0.2608
Ba 0.9924 0.9887 0.1244
Ba 0.9984 0.9881 0.5020
Al 0.2325 0.2641 0.1893
Al 0.2402 0.2348 0.3142
Al 0.2525 0.2428 0.0617
Al 0.2520 0.2463 0.9391
Al 0.2550 0.2407 0.8138
Al 0.2677 0.2478 0.5610
Al 0.7313 0.7663 0.8106
Al 0.7494 0.7490 0.6873
Al 0.7514 0.7437 0.9381
Al 0.7528 0.7403 0.1867
Al 0.7528 0.7459 0.0617
Al 0.7546 0.7430 0.4377
Te 0.0078 0.4874 0.7731
Te 0.0147 0.4730 0.5220
Te 0.0152 0.4805 0.8566
Te 0.0219 0.4834 0.6016
Te 0.0342 0.4612 0.0169
Te 0.0427 0.4528 0.1073
Te 0.0453 0.4526 0.3572
Te 0.0676 0.4168 0.2625
Te 0.1393 0.7119 0.6857
Te 0.1420 0.7171 0.9377
Te 0.1520 0.6018 0.4401
Te 0.1637 0.6842 0.1876
Te 0.2738 0.8485 0.3164
Te 0.2844 0.8505 0.0623
Te 0.3039 0.8366 0.8127
Te 0.3277 0.8573 0.5604
Te 0.4699 0.0203 0.4069
Te 0.4853 0.0182 0.4700
Te 0.5002 0.9910 0.2271
Te 0.5052 0.9901 0.1443
Te 0.5342 0.9608 0.8933
Te 0.5414 0.9538 0.9839
Te 0.5454 0.9551 0.6429
Te 0.5773 0.9189 0.7388
Te 0.6295 0.1948 0.3152
Te 0.6432 0.2167 0.0623
Te 0.6586 0.1940 0.8124
Te 0.6607 0.1853 0.5608
Te 0.7836 0.3514 0.9377
Te 0.7848 0.3604 0.6856
Te 0.8159 0.3254 0.1875
Te 0.8972 0.3459 0.4378

Its space-group type is P1. The value obtained for the calculated volume is 36.4 A^3/atom.



Which structure above is the least stable? It is b.